1.
CuPO3: relaxed, PBE.

Properties
Calculated formation energy   -1982 meV per atom
Volume   17.2 A^3/atom
Total magnetic moment   0.0 μB/f.u.

abc: 9.703 9.703 9.703
angles: 114.90 114.90 114.90
Element x y z (fractional)
Cu  0.054  0.649  0.454
Cu  0.351  0.546  0.946
Cu  0.454  0.054  0.649
Cu  0.546  0.946  0.351
Cu  0.649  0.454  0.054
Cu  0.946  0.351  0.546
P  0.062  0.832  0.194
P  0.168  0.806  0.938
P  0.194  0.062  0.832
P  0.806  0.938  0.168
P  0.832  0.194  0.062
P  0.938  0.168  0.806
O  0.005  0.600  0.696
O  0.005  0.969  0.229
O  0.031  0.771  0.995
O  0.104  0.382  0.887
O  0.113  0.896  0.618
O  0.229  0.005  0.969
O  0.304  0.995  0.400
O  0.382  0.887  0.104
O  0.400  0.304  0.995
O  0.600  0.696  0.005
O  0.618  0.113  0.896
O  0.696  0.005  0.600
O  0.771  0.995  0.031
O  0.887  0.104  0.382
O  0.896  0.618  0.113
O  0.969  0.229  0.005
O  0.995  0.031  0.771
O  0.995  0.400  0.304



2.
BeSiP2: relaxed, PBE.

Properties
Calculated formation energy   560 meV per atom
Volume   12.8 A^3/atom
Total magnetic moment   0.0 μB/f.u.

abc: 4.172 4.172 4.172
angles: 60.00 60.00 60.00
Element x y z (fractional)
Be  0.000  0.000  0.000
Si  0.500  0.500  0.500
P  0.250  0.250  0.250
P  0.750  0.750  0.750



3.
Pb3SO6: relaxed, PBE.

Properties
Calculated formation energy   -1738 meV per atom
Volume   19.4 A^3/atom
Total magnetic moment   0.0 μB/f.u.

abc: 8.079 8.079 6.032
angles: 90.00 90.00 99.96
Element x y z (fractional)
Pb  0.101  0.899  0.750
Pb  0.178  0.357  0.750
Pb  0.357  0.178  0.250
Pb  0.643  0.822  0.750
Pb  0.822  0.643  0.250
Pb  0.899  0.101  0.250
S  0.349  0.651  0.250
S  0.651  0.349  0.750
O  0.143  0.143  0.000
O  0.143  0.143  0.500
O  0.282  0.718  0.047
O  0.282  0.718  0.453
O  0.300  0.462  0.250
O  0.462  0.300  0.750
O  0.538  0.700  0.250
O  0.700  0.538  0.750
O  0.718  0.282  0.547
O  0.718  0.282  0.953
O  0.857  0.857  0.000
O  0.857  0.857  0.500



4.
HoBO3: relaxed, PBE.

Properties
Calculated formation energy   -3560 meV per atom
Volume   11.1 A^3/atom

abc: 6.581 6.581 8.844
angles: 90.00 90.00 59.94
Element x y z (fractional)
Ho  0.000  0.000  0.000
Ho  0.000  0.000  0.500
Ho  0.329  0.329  0.000
Ho  0.329  0.329  0.500
Ho  0.671  0.671  0.000
Ho  0.671  0.671  0.500
B  0.093  0.666  0.250
B  0.334  0.907  0.250
B  0.424  0.576  0.750
B  0.576  0.424  0.250
B  0.666  0.093  0.750
B  0.907  0.334  0.750
O  0.016  0.333  0.607
O  0.016  0.333  0.893
O  0.117  0.883  0.250
O  0.316  0.684  0.606
O  0.316  0.684  0.894
O  0.333  0.016  0.107
O  0.333  0.016  0.393
O  0.334  0.448  0.250
O  0.448  0.334  0.750
O  0.552  0.666  0.250
O  0.666  0.552  0.750
O  0.667  0.984  0.607
O  0.667  0.984  0.893
O  0.684  0.316  0.106
O  0.684  0.316  0.394
O  0.883  0.117  0.750
O  0.984  0.667  0.107
O  0.984  0.667  0.393



5.
Sr5Rh4O12: relaxed, PBE.

Properties
Calculated formation energy   -2171 meV per atom
Volume   14.1 A^3/atom
Total magnetic moment   2.0 μB/f.u.

abc: 9.689 9.689 21.817
angles: 90.00 90.00 120.00
Element x y z (fractional)
Sr  0.000  0.357  0.250
Sr  0.000  0.643  0.750
Sr  0.015  0.338  0.848
Sr  0.015  0.677  0.348
Sr  0.020  0.334  0.452
Sr  0.020  0.686  0.952
Sr  0.314  0.334  0.952
Sr  0.314  0.980  0.452
Sr  0.323  0.338  0.348
Sr  0.323  0.985  0.848
Sr  0.334  0.020  0.048
Sr  0.334  0.314  0.548
Sr  0.338  0.015  0.652
Sr  0.338  0.323  0.152
Sr  0.357  0.000  0.250
Sr  0.357  0.357  0.750
Sr  0.643  0.000  0.750
Sr  0.643  0.643  0.250
Sr  0.662  0.677  0.848
Sr  0.662  0.985  0.348
Sr  0.666  0.686  0.452
Sr  0.666  0.980  0.952
Sr  0.677  0.015  0.152
Sr  0.677  0.662  0.652
Sr  0.686  0.020  0.548
Sr  0.686  0.666  0.048
Sr  0.980  0.314  0.048
Sr  0.980  0.666  0.548
Sr  0.985  0.323  0.652
Sr  0.985  0.662  0.152
Rh  0.000  0.000  0.000
Rh  0.000  0.000  0.121
Rh  0.000  0.000  0.250
Rh  0.000  0.000  0.379
Rh  0.000  0.000  0.500
Rh  0.000  0.000  0.621
Rh  0.000  0.000  0.750
Rh  0.000  0.000  0.879
Rh  0.333  0.667  0.041
Rh  0.333  0.667  0.170
Rh  0.333  0.667  0.293
Rh  0.333  0.667  0.413
Rh  0.333  0.667  0.541
Rh  0.333  0.667  0.670
Rh  0.333  0.667  0.793
Rh  0.333  0.667  0.913
Rh  0.667  0.333  0.087
Rh  0.667  0.333  0.207
Rh  0.667  0.333  0.330
Rh  0.667  0.333  0.459
Rh  0.667  0.333  0.587
Rh  0.667  0.333  0.707
Rh  0.667  0.333  0.830
Rh  0.667  0.333  0.959
O  0.000  0.166  0.559
O  0.000  0.166  0.941
O  0.000  0.834  0.059
O  0.000  0.834  0.441
O  0.035  0.170  0.183
O  0.035  0.865  0.683
O  0.135  0.170  0.683
O  0.135  0.965  0.183
O  0.158  0.559  0.107
O  0.158  0.599  0.607
O  0.165  0.504  0.352
O  0.165  0.662  0.852
O  0.166  0.000  0.559
O  0.166  0.000  0.941
O  0.166  0.166  0.059
O  0.166  0.166  0.441
O  0.170  0.035  0.317
O  0.170  0.135  0.817
O  0.180  0.492  0.734
O  0.180  0.688  0.234
O  0.183  0.503  0.974
O  0.183  0.680  0.474
O  0.312  0.492  0.234
O  0.312  0.820  0.734
O  0.320  0.503  0.474
O  0.320  0.817  0.974
O  0.338  0.504  0.852
O  0.338  0.835  0.352
O  0.401  0.559  0.607
O  0.401  0.842  0.107
O  0.441  0.599  0.107
O  0.441  0.842  0.607
O  0.492  0.180  0.766
O  0.492  0.312  0.266
O  0.496  0.662  0.352
O  0.496  0.835  0.852
O  0.497  0.680  0.974
O  0.497  0.817  0.474
O  0.503  0.183  0.526
O  0.503  0.320  0.026
O  0.504  0.165  0.148
O  0.504  0.338  0.648
O  0.508  0.688  0.734
O  0.508  0.820  0.234
O  0.559  0.158  0.393
O  0.559  0.401  0.893
O  0.599  0.158  0.893
O  0.599  0.441  0.393
O  0.662  0.165  0.648
O  0.662  0.496  0.148
O  0.680  0.183  0.026
O  0.680  0.497  0.526
O  0.688  0.180  0.266
O  0.688  0.508  0.766
O  0.817  0.320  0.526
O  0.817  0.497  0.026
O  0.820  0.312  0.766
O  0.820  0.508  0.266
O  0.830  0.865  0.183
O  0.830  0.965  0.683
O  0.834  0.000  0.059
O  0.834  0.000  0.441
O  0.834  0.834  0.559
O  0.834  0.834  0.941
O  0.835  0.338  0.148
O  0.835  0.496  0.648
O  0.842  0.401  0.393
O  0.842  0.441  0.893
O  0.865  0.035  0.817
O  0.865  0.830  0.317
O  0.965  0.135  0.317
O  0.965  0.830  0.817



6.
RbMg: relaxed, PBE.

Properties
Calculated formation energy   197 meV per atom
Volume   54.2 A^3/atom
Total magnetic moment   0.0 μB/f.u.

abc: 5.427 7.800 7.800
angles: 99.91 90.00 90.00
Element x y z (fractional)
Rb  0.000  0.000  0.000
Rb  0.500  0.148  0.541
Rb  0.500  0.541  0.148
Mg  0.000  0.501  0.755
Mg  0.000  0.755  0.501
Mg  0.500  0.674  0.674



7.
BaSrMg6O8: relaxed, PBE.

Properties
Calculated formation energy   -2653 meV per atom
Volume   13.1 A^3/atom
Total magnetic moment   0.0 μB/f.u.

abc: 4.809 4.809 9.094
angles: 90.00 90.00 90.00
Element x y z (fractional)
Ba  0.000  0.000  0.000
Sr  0.500  0.500  0.000
Mg  0.000  0.000  0.500
Mg  0.000  0.500  0.278
Mg  0.000  0.500  0.722
Mg  0.500  0.000  0.278
Mg  0.500  0.000  0.722
Mg  0.500  0.500  0.500
O  0.000  0.000  0.285
O  0.000  0.000  0.715
O  0.000  0.500  0.000
O  0.000  0.500  0.500
O  0.500  0.000  0.000
O  0.500  0.000  0.500
O  0.500  0.500  0.277
O  0.500  0.500  0.723



8.
PuSi2Ru2: relaxed, PBE.

Properties
Calculated formation energy   -729 meV per atom
Volume   16.9 A^3/atom

abc: 5.704 5.704 5.704
angles: 137.26 137.26 62.04
Element x y z (fractional)
Pu  0.000  0.000  0.000
Si  0.370  0.370  0.000
Si  0.630  0.630  0.000
Ru  0.250  0.750  0.500
Ru  0.750  0.250  0.500